No. 1
Computed, not measured: LiVP4O12 after structural relaxation at the GGA+U level of DFT.

Output
Space-group type: P2_1/c (14)
ΔE_f: -2.60 eV per atom
Calculated volume: 12.87 Å³/atom

Cell: 7.5083 8.5860 15.5949 Å, 90.00 112.80 90.00°
Closest atoms and distances in Å follow each position.
Fractional coordinates of all 72 atoms:
Li 0.1353 0.0854 0.0744  2 O 1.92-1.97
Li 0.1353 0.4146 0.5744  2 O 1.92-1.97
Li 0.8647 0.5854 0.4256  2 O 1.92-1.97
Li 0.8647 0.9146 0.9256  2 O 1.92-1.97
V 0.3119 0.6588 0.8520  7 O 2.05-2.25
V 0.3119 0.8412 0.3520  7 O 2.05-2.25
V 0.6881 0.1588 0.6480  7 O 2.05-2.25
V 0.6881 0.3412 0.1480  7 O 2.05-2.25
P 0.1034 0.0326 0.8092  4 O 1.50-1.62
P 0.1034 0.4674 0.3092  4 O 1.50-1.62
P 0.2328 0.7324 0.0444  4 O 1.50-1.61
P 0.2328 0.7676 0.5444  4 O 1.50-1.61
P 0.3544 0.5475 0.2167  4 O 1.48-1.62
P 0.3544 0.9525 0.7167  4 O 1.48-1.62
P 0.3653 0.2224 0.4311  4 O 1.49-1.63
P 0.3653 0.2776 0.9311  4 O 1.49-1.63
P 0.6347 0.7224 0.0689  4 O 1.49-1.63
P 0.6347 0.7776 0.5689  4 O 1.49-1.63
P 0.6456 0.0475 0.2833  4 O 1.48-1.62
P 0.6456 0.4525 0.7833  4 O 1.48-1.62
P 0.7672 0.2324 0.4556  4 O 1.50-1.61
P 0.7672 0.2676 0.9556  4 O 1.50-1.61
P 0.8966 0.5326 0.6908  4 O 1.50-1.62
P 0.8966 0.9674 0.1908  4 O 1.50-1.62
O 0.0914 0.6089 0.7273  1 P 1.50
O 0.0914 0.8911 0.2273  1 P 1.50
O 0.1072 0.6268 0.5333  1 P 1.50
O 0.1072 0.8732 0.0333  1 P 1.50
O 0.1139 0.6362 0.3359  1 P 1.50
O 0.1139 0.8638 0.8359  1 P 1.50
O 0.2031 0.6229 0.1214  2 P 1.61-1.62
O 0.2031 0.8771 0.6214  2 P 1.61-1.62
O 0.2045 0.6388 0.9587  1 P 1.50
O 0.2045 0.8612 0.4587  1 P 1.50
O 0.2074 0.0696 0.7380  2 P 1.62
O 0.2074 0.4304 0.2380  2 P 1.62
O 0.2344 0.1240 0.9035  2 P 1.60-1.62
O 0.2344 0.3760 0.4035  2 P 1.60-1.62
O 0.2677 0.0884 0.3701  1 P 1.49
O 0.2677 0.4116 0.8701  1 P 1.49
O 0.4281 0.6646 0.2946  1 P 1.51
O 0.4281 0.8354 0.7946  1 P 1.51
O 0.4303 0.2097 0.5353  1 P 1.51
O 0.4303 0.2903 0.0353  1 P 1.51
O 0.4555 0.7150 0.5943  2 P 1.61-1.63
O 0.4555 0.7850 0.0943  2 P 1.61-1.63
O 0.4962 0.5439 0.8014  1 P 1.48
O 0.4962 0.9561 0.3014  1 P 1.48
O 0.5038 0.0439 0.6986  1 P 1.48
O 0.5038 0.4561 0.1986  1 P 1.48
O 0.5445 0.2150 0.9057  2 P 1.61-1.63
O 0.5445 0.2850 0.4057  2 P 1.61-1.63
O 0.5697 0.7097 0.9647  1 P 1.51
O 0.5697 0.7903 0.4647  1 P 1.51
O 0.5719 0.1646 0.2054  1 P 1.51
O 0.5719 0.3354 0.7054  1 P 1.51
O 0.7323 0.5884 0.1299  1 P 1.49
O 0.7323 0.9116 0.6299  1 P 1.49
O 0.7656 0.6240 0.5965  2 P 1.60-1.62
O 0.7656 0.8760 0.0965  2 P 1.60-1.62
O 0.7926 0.5696 0.7620  2 P 1.62
O 0.7926 0.9304 0.2620  2 P 1.62
O 0.7955 0.1388 0.5413  1 P 1.50
O 0.7955 0.3612 0.0413  1 P 1.50
O 0.7969 0.1229 0.3786  2 P 1.61-1.62
O 0.7969 0.3771 0.8786  2 P 1.61-1.62
O 0.8861 0.1362 0.1641  1 P 1.50
O 0.8861 0.3638 0.6641  1 P 1.50
O 0.8928 0.1268 0.9667  1 P 1.50
O 0.8928 0.3732 0.4667  1 P 1.50
O 0.9086 0.1089 0.7727  1 P 1.50
O 0.9086 0.3911 0.2727  1 P 1.50



No. 2
Computed, not measured: Li7V3P8O29 after structural relaxation at the GGA+U level of DFT.

Output
Space-group type: P1 (1)
ΔE_f: -2.69 eV per atom
Calculated volume: 12.47 Å³/atom

Cell: 9.8675 9.8698 13.8725 Å, 89.69 89.64 60.17°
Closest atoms and distances in Å follow each position.
Fractional coordinates of all 94 atoms:
Li 0.0000 0.0000 0.0000  3 O 1.96-2.04
Li 0.0007 0.5866 0.4988  3 O 1.92-2.01
Li 0.0883 0.8210 0.6198  3 O 1.96-2.04
Li 0.0980 0.6841 0.1209  3 O 1.92-2.01
Li 0.1053 0.2429 0.1789  3 O 1.91-2.10
Li 0.4416 0.5797 0.4407  3 O 1.91-2.10
Li 0.4480 0.0074 0.4964  4 O 1.93-2.11
Li 0.4602 0.1350 0.0004  3 O 1.96-2.03
Li 0.5473 0.8141 0.1236  4 O 1.95-2.15
Li 0.5506 0.2238 0.6194  3 O 1.96-2.02
Li 0.6774 0.2368 0.1235  4 O 1.93-2.11
Li 0.6837 0.6856 0.6195  3 O 1.96-2.07
Li 0.8637 0.5965 0.9999  3 O 1.95-2.04
Li 0.8707 0.1374 0.4962  4 O 1.95-2.16
V 0.2068 0.4780 0.3098  6 O 1.89-2.03
V 0.2094 0.9092 0.8085  6 O 1.89-2.00
V 0.3383 0.3457 0.8101  6 O 1.90-2.03
V 0.3421 0.9107 0.3103  6 O 2.02-2.06
V 0.7741 0.3426 0.3095  6 O 2.02-2.06
V 0.7742 0.4768 0.8113  6 O 1.86-2.02
P 0.0059 0.0003 0.2159  4 O 1.51-1.62
P 0.0058 0.5906 0.7189  4 O 1.50-1.61
P 0.0942 0.6789 0.9017  4 O 1.50-1.62
P 0.0946 0.8200 0.4030  4 O 1.51-1.61
P 0.1074 0.2440 0.9329  4 O 1.50-1.59
P 0.1095 0.2435 0.4361  4 O 1.49-1.63
P 0.4405 0.5778 0.6863  4 O 1.50-1.59
P 0.4415 0.5751 0.1835  4 O 1.49-1.63
P 0.4541 0.1431 0.2164  4 O 1.50-1.61
P 0.4546 0.9992 0.7173  4 O 1.50-1.62
P 0.5411 0.8226 0.9018  4 O 1.50-1.62
P 0.5416 0.2308 0.4033  4 O 1.50-1.61
P 0.6844 0.6789 0.4039  4 O 1.51-1.62
P 0.6864 0.2288 0.9019  4 O 1.50-1.61
P 0.8636 0.1431 0.7174  4 O 1.50-1.62
P 0.8648 0.5901 0.2167  4 O 1.51-1.61
O 0.0132 0.9125 0.4920  1 P 1.51
O 0.0148 0.6691 0.9921  1 P 1.50
O 0.0145 0.6696 0.6283  1 P 1.50
O 0.0215 0.9047 0.1276  1 P 1.51
O 0.0253 0.5823 0.2162  1 P 1.55
O 0.0272 0.9942 0.7186  1 P 1.55
O 0.1025 0.6596 0.4034  1 P 1.55
O 0.1032 0.0968 0.8942  1 P 1.57
O 0.1077 0.2566 0.5432  1 P 1.49
O 0.1090 0.3955 0.3896  1 P 1.63
O 0.1085 0.8277 0.8995  1 P 1.54
O 0.1098 0.2443 0.0411  1 P 1.50
O 0.1454 0.0275 0.2301  1 P 1.54
O 0.1535 0.4316 0.7352  1 P 1.54
O 0.2533 0.5320 0.8836  1 P 1.54
O 0.2607 0.2398 0.8928  1 P 1.59
O 0.2610 0.7938 0.3899  1 P 1.54
O 0.2618 0.0991 0.3971  1 P 1.57
O 0.2864 0.7251 0.7249  1 P 1.58
O 0.2879 0.2859 0.2320  1 P 1.56
O 0.2895 0.5757 0.2301  1 P 1.63
O 0.2947 0.0117 0.7362  1 P 1.54
O 0.3923 0.8119 0.8848  1 P 1.54
O 0.3988 0.3969 0.3877  1 P 1.56
O 0.4288 0.5764 0.0764  1 P 1.49
O 0.4387 0.5759 0.5782  1 P 1.50
O 0.4399 0.1619 0.7185  1 P 1.54
O 0.4440 0.4256 0.7270  1 P 1.59
O 0.4444 0.9931 0.2144  1 P 1.53
O 0.4454 0.7212 0.2232  1 P 1.56
O 0.5225 0.2466 0.9014  1 P 1.54
O 0.5239 0.1536 0.4925  1 P 1.50
O 0.5269 0.8313 0.4049  1 P 1.53
O 0.5312 0.1608 0.1271  1 P 1.50
O 0.5306 0.9115 0.9916  1 P 1.50
O 0.5326 0.9089 0.6275  1 P 1.50
O 0.5575 0.1274 0.3098  2 P 1.61
O 0.5636 0.9106 0.8098  2 P 1.62
O 0.5858 0.4230 0.2226  1 P 1.57
O 0.5864 0.5836 0.7247  1 P 1.57
O 0.6573 0.5394 0.3897  1 P 1.54
O 0.6772 0.3890 0.8833  1 P 1.56
O 0.6892 0.6586 0.9013  1 P 1.55
O 0.6917 0.2404 0.4053  1 P 1.53
O 0.7721 0.6715 0.1278  1 P 1.51
O 0.7745 0.1212 0.8099  2 P 1.61-1.62
O 0.7746 0.1525 0.6280  1 P 1.50
O 0.7753 0.6924 0.3100  2 P 1.61-1.62
O 0.7758 0.1529 0.9920  1 P 1.50
O 0.7800 0.6634 0.4921  1 P 1.51
O 0.8535 0.1579 0.2149  1 P 1.53
O 0.8568 0.5745 0.7216  1 P 1.56
O 0.8759 0.2894 0.7364  1 P 1.53
O 0.8911 0.4237 0.2297  1 P 1.54
O 0.9605 0.3980 0.8954  1 P 1.58
O 0.9636 0.2394 0.3963  1 P 1.56
O 0.9841 0.7006 0.8100  2 P 1.61-1.62
O 0.9923 0.9096 0.3097  2 P 1.61-1.62



No. 3
Computed, not measured: Li8V3P8O29 after structural relaxation at the GGA+U level of DFT.

Output
Space-group type: P1 (1)
ΔE_f: -2.70 eV per atom
Calculated volume: 12.20 Å³/atom

Cell: 9.8764 9.8825 13.8308 Å, 89.38 89.70 60.15°
Closest atoms and distances in Å follow each position.
Fractional coordinates of all 96 atoms:
Li 0.0000 0.0000 0.0000  1 O 1.85
Li 0.0011 0.5769 0.5484  4 O 1.97-2.09
Li 0.0028 0.4365 0.0528  4 O 1.92-2.10
Li 0.3283 0.7764 0.6765  4 O 1.99-2.15
Li 0.3322 0.3417 0.7328  1 O 1.86
Li 0.3344 0.3384 0.2360  1 O 1.88
Li 0.3381 0.9079 0.1787  4 O 1.98-2.12
Li 0.4331 0.0000 0.5505  4 O 1.98-2.09
Li 0.4386 0.5773 0.0537  4 O 1.96-2.18
Li 0.5715 0.0048 0.0515  4 O 1.99-2.08
Li 0.5750 0.4383 0.5506  4 O 1.97-2.10
Li 0.6750 0.6766 0.6122  4 O 2.22-2.43
Li 0.7163 0.6915 0.1255  2 O 1.97-2.01
Li 0.7653 0.3490 0.1801  4 O 1.97-2.11
Li 0.7705 0.9091 0.6753  4 O 2.01-2.14
Li 0.9043 0.3361 0.6758  4 O 2.01-2.11
V 0.1012 0.6780 0.3623  6 O 1.83-2.02
V 0.1023 0.2386 0.8651  6 O 1.99-2.07
V 0.2311 0.1096 0.3690  6 O 1.95-2.04
V 0.2320 0.6728 0.8665  6 O 1.91-2.03
V 0.6678 0.2366 0.3659  6 O 1.97-2.06
V 0.6689 0.1078 0.8642  6 O 2.01-2.07
P 0.0017 0.0077 0.7403  4 O 1.49-1.63
P 0.0060 0.0071 0.2420  4 O 1.51-1.60
P 0.3321 0.3426 0.4893  4 O 1.52-1.58
P 0.3342 0.3381 0.9914  4 O 1.50-1.61
P 0.3500 0.9010 0.9590  4 O 1.51-1.61
P 0.3558 0.7569 0.4597  4 O 1.53-1.62
P 0.4411 0.9905 0.7702  4 O 1.52-1.62
P 0.4420 0.5848 0.2727  4 O 1.52-1.61
P 0.5749 0.9885 0.2697  4 O 1.51-1.62
P 0.5783 0.4474 0.7726  4 O 1.51-1.61
P 0.7535 0.8963 0.4559  4 O 1.52-1.61
P 0.7594 0.3534 0.9608  4 O 1.51-1.62
P 0.8905 0.7586 0.9562  4 O 1.49-1.62
P 0.8932 0.3621 0.4589  4 O 1.52-1.62
P 0.9836 0.5858 0.7675  4 O 1.52-1.60
P 0.9857 0.4507 0.2728  4 O 1.53-1.61
O 0.0077 0.5933 0.2730  1 P 1.53
O 0.0078 0.8588 0.2905  1 P 1.60
O 0.0163 0.9939 0.1335  1 P 1.51
O 0.0167 0.0002 0.6328  1 P 1.49
O 0.0425 0.7704 0.9488  1 P 1.57
O 0.0449 0.2073 0.4498  1 P 1.52
O 0.1463 0.3027 0.2827  1 P 1.54
O 0.1488 0.5675 0.7826  1 P 1.57
O 0.1529 0.8560 0.7876  1 P 1.63
O 0.1539 0.0031 0.2815  1 P 1.54
O 0.1798 0.4865 0.4455  1 P 1.58
O 0.1838 0.3464 0.9509  1 P 1.55
O 0.1852 0.0428 0.9480  1 P 1.54
O 0.2031 0.7536 0.4500  1 P 1.53
O 0.2967 0.5642 0.2865  1 P 1.56
O 0.2975 0.1547 0.7815  1 P 1.54
O 0.3212 0.3501 0.5987  1 P 1.52
O 0.3314 0.3433 0.0998  1 P 1.50
O 0.3335 0.9213 0.4602  1 P 1.53
O 0.3369 0.7508 0.9584  1 P 1.55
O 0.3379 0.4890 0.9488  1 P 1.61
O 0.3440 0.1880 0.4534  1 P 1.56
O 0.4109 0.0069 0.2748  1 P 1.54
O 0.4153 0.5968 0.7737  1 P 1.55
O 0.4315 0.6781 0.1825  1 P 1.52
O 0.4359 0.9012 0.6829  1 P 1.52
O 0.4377 0.9051 0.0467  1 P 1.51
O 0.4504 0.6684 0.5489  1 P 1.53
O 0.4529 0.8880 0.8649  2 P 1.61-1.62
O 0.4599 0.6728 0.3646  2 P 1.61-1.62
O 0.4768 0.3521 0.4531  1 P 1.56
O 0.4810 0.1897 0.9533  1 P 1.56
O 0.5557 0.3044 0.7819  1 P 1.54
O 0.5596 0.1506 0.2809  1 P 1.54
O 0.5889 0.4231 0.2710  1 P 1.53
O 0.5902 0.0024 0.7689  1 P 1.53
O 0.6563 0.9023 0.1788  1 P 1.51
O 0.6657 0.4389 0.0490  1 P 1.51
O 0.6673 0.4579 0.8667  2 P 1.61-1.62
O 0.6667 0.8861 0.5458  1 P 1.54
O 0.6679 0.8794 0.3617  2 P 1.61-1.62
O 0.6701 0.4459 0.6842  1 P 1.51
O 0.7494 0.3419 0.4583  1 P 1.53
O 0.7487 0.9233 0.9581  1 P 1.53
O 0.7569 0.0477 0.4484  1 P 1.52
O 0.7808 0.1888 0.9484  1 P 1.54
O 0.8556 0.1554 0.2752  1 P 1.55
O 0.8567 0.9996 0.7778  1 P 1.56
O 0.8764 0.6836 0.8562  2 P 1.60-1.62
O 0.8770 0.4673 0.3644  2 P 1.61-1.62
O 0.8862 0.6592 0.0370  1 P 1.49
O 0.8892 0.4548 0.5479  1 P 1.53
O 0.8949 0.4519 0.1832  1 P 1.53
O 0.9002 0.6757 0.6768  1 P 1.52
O 0.9191 0.3438 0.9599  1 P 1.53
O 0.9193 0.7522 0.4550  1 P 1.55
O 0.9959 0.1569 0.7815  1 P 1.56
O 0.9974 0.4248 0.7694  1 P 1.53



No. 4
Computed, not measured: Li5V3P8O29 after structural relaxation at the GGA+U level of DFT.

Output
Space-group type: P1 (1)
ΔE_f: -2.61 eV per atom
Calculated volume: 12.84 Å³/atom

Cell: 9.8012 9.8025 13.8871 Å, 90.12 90.02 119.97°
Closest atoms and distances in Å follow each position.
Fractional coordinates of all 90 atoms:
Li 0.0000 0.0000 0.0000  3 O 1.94-2.05
Li 0.0003 0.4200 0.5013  4 O 1.97-2.19
Li 0.0956 0.1917 0.3804  3 O 1.96-2.04
Li 0.0964 0.3267 0.8802  4 O 1.96-2.18
Li 0.4473 0.9998 0.5016  4 O 1.98-2.19
Li 0.5440 0.7723 0.3785  4 O 1.97-2.17
Li 0.6759 0.7749 0.8825  3 O 1.88-2.07
Li 0.6770 0.3260 0.3792  4 O 1.96-2.16
Li 0.8618 0.4150 0.0004  3 O 1.90-2.03
Li 0.8684 0.8677 0.5016  4 O 1.96-2.16
V 0.2055 0.5316 0.6904  6 O 1.89-2.00
V 0.2110 0.0979 0.1886  6 O 1.82-2.01
V 0.3405 0.6664 0.1864  6 O 1.91-2.02
V 0.3442 0.0979 0.6963  6 O 1.83-1.98
V 0.7723 0.5287 0.1886  6 O 1.87-1.99
V 0.7725 0.6630 0.6920  6 O 1.85-2.00
P 0.0036 0.0096 0.7825  4 O 1.50-1.61
P 0.0053 0.4168 0.2825  4 O 1.51-1.62
P 0.0916 0.3271 0.0987  4 O 1.50-1.62
P 0.0934 0.1843 0.5984  4 O 1.50-1.63
P 0.1058 0.7627 0.0672  4 O 1.49-1.62
P 0.1069 0.7662 0.5671  4 O 1.50-1.60
P 0.4375 0.4304 0.8143  4 O 1.49-1.61
P 0.4398 0.4307 0.3134  4 O 1.50-1.62
P 0.4565 0.0101 0.2825  4 O 1.50-1.60
P 0.4565 0.8655 0.7838  4 O 1.48-1.64
P 0.5406 0.7771 0.5977  4 O 1.51-1.60
P 0.5449 0.1795 0.0943  4 O 1.47-1.64
P 0.6840 0.3272 0.5990  4 O 1.51-1.62
P 0.6843 0.7781 0.0990  4 O 1.50-1.62
P 0.8600 0.4146 0.7838  4 O 1.48-1.62
P 0.8628 0.8659 0.2826  4 O 1.51-1.62
O 0.0125 0.3356 0.0082  1 P 1.50
O 0.0132 0.3367 0.3731  1 P 1.51
O 0.0143 0.0951 0.5079  1 P 1.50
O 0.0185 0.0999 0.8731  1 P 1.50
O 0.0272 0.4339 0.7794  1 P 1.55
O 0.0291 0.0158 0.2808  1 P 1.56
O 0.0992 0.6115 0.6070  1 P 1.58
O 0.0991 0.7666 0.9601  1 P 1.49
O 0.1013 0.9139 0.1104  1 P 1.62
O 0.1068 0.1760 0.1004  1 P 1.56
O 0.1098 0.3494 0.5987  1 P 1.54
O 0.1123 0.7696 0.4594  1 P 1.50
O 0.1543 0.9991 0.7641  1 P 1.55
O 0.1558 0.5747 0.2656  1 P 1.53
O 0.2509 0.1908 0.6179  1 P 1.54
O 0.2524 0.4725 0.1165  1 P 1.53
O 0.2535 0.7679 0.1120  1 P 1.55
O 0.2612 0.9141 0.6103  1 P 1.60
O 0.2841 0.2795 0.2697  1 P 1.62
O 0.2843 0.4221 0.7734  1 P 1.57
O 0.2947 0.0003 0.2629  1 P 1.56
O 0.2956 0.7163 0.7662  1 P 1.54
O 0.3909 0.1893 0.1180  1 P 1.59
O 0.3919 0.6172 0.6154  1 P 1.54
O 0.4308 0.4217 0.4209  1 P 1.50
O 0.4318 0.0110 0.7765  1 P 1.56
O 0.4359 0.4234 0.9213  1 P 1.49
O 0.4378 0.8451 0.2825  1 P 1.53
O 0.4391 0.2810 0.7666  1 P 1.61
O 0.4443 0.5824 0.2738  1 P 1.57
O 0.5175 0.1771 0.6011  1 P 1.56
O 0.5185 0.7565 0.1019  1 P 1.53
O 0.5282 0.0987 0.3744  1 P 1.50
O 0.5308 0.0897 0.0064  1 P 1.47
O 0.5315 0.8541 0.5061  1 P 1.51
O 0.5431 0.8611 0.8696  1 P 1.48
O 0.5617 0.8896 0.6873  2 P 1.60-1.64
O 0.5670 0.1009 0.1929  2 P 1.60-1.64
O 0.5845 0.4213 0.2740  1 P 1.57
O 0.5860 0.5818 0.7746  1 P 1.57
O 0.6718 0.4747 0.6152  1 P 1.53
O 0.6758 0.6180 0.1169  1 P 1.55
O 0.6884 0.3488 0.0997  1 P 1.55
O 0.6896 0.7597 0.6004  1 P 1.55
O 0.7707 0.3333 0.5082  1 P 1.51
O 0.7727 0.3054 0.6908  2 P 1.62
O 0.7743 0.8891 0.1908  2 P 1.62
O 0.7749 0.8544 0.0089  1 P 1.50
O 0.7746 0.8588 0.3730  1 P 1.51
O 0.7781 0.3425 0.8752  1 P 1.48
O 0.8564 0.4340 0.2815  1 P 1.55
O 0.8561 0.8446 0.7832  1 P 1.54
O 0.8704 0.5756 0.7625  1 P 1.56
O 0.8731 0.7176 0.2654  1 P 1.53
O 0.9580 0.6093 0.1074  1 P 1.58
O 0.9607 0.7733 0.6070  1 P 1.57
O 0.9811 0.0965 0.6904  2 P 1.61-1.63
O 0.9807 0.3046 0.1905  2 P 1.62